[1]
Computed, not measured: a geometry-optimized HoH8C2O8F structure at the PBE level of DFT.

a = 8.1999 Å, b = 8.1999 Å, c = 8.1906 Å
α = 63.86°, β = 63.86°, γ = 85.67°
Last column: nearest neighbours and their distance in Å.
Atoms (fractional coordinates):
F1 0.0000 0.0000 0.5000  2 Ho 2.19, 2 H 2.39
F2 0.0000 0.0000 0.0000  2 Ho 2.19, 2 H 2.39
O1 0.7469 0.9000 0.9405  2 H 0.99
O2 0.6660 0.1278 0.4954  1 C 1.27
O3 0.0510 0.3584 0.2011  1 C 1.27
O4 0.5379 0.3230 0.9866  2 H 0.97-0.99
O5 0.8722 0.3340 0.0046  1 C 1.27
O6 0.9490 0.6415 0.7989  1 C 1.27
O7 0.3230 0.5379 0.4866  2 H 0.97-0.99
O8 0.3340 0.8722 0.5046  1 C 1.27
O9 0.6415 0.9490 0.2989  1 C 1.27
O10 0.6770 0.4621 0.5134  2 H 0.97-0.99
O11 0.1000 0.2531 0.5595  2 H 0.99
O12 0.2531 0.1000 0.0595  2 H 0.99
O13 0.1278 0.6660 0.9954  1 C 1.27
O14 0.4621 0.6770 0.0134  2 H 0.97-0.99
O15 0.9000 0.7469 0.4405  2 H 0.99
O16 0.3584 0.0510 0.7011  1 C 1.27
H1 0.3203 0.6597 0.4852  1 O 0.99
H2 0.6964 0.9124 0.0679  1 O 0.99
H3 0.4408 0.6769 0.1397  1 O 0.97
H4 0.5592 0.3231 0.8603  1 O 0.97
H5 0.0876 0.3036 0.4321  1 O 0.99
H6 0.1658 0.3481 0.5611  1 O 0.99
H7 0.6769 0.4408 0.6397  1 O 0.97
H8 0.8342 0.6519 0.4389  1 O 0.99
H9 0.3481 0.1658 0.0611  1 O 0.99
H10 0.3403 0.6797 0.0148  1 O 0.99
H11 0.6797 0.3403 0.5148  1 O 0.99
H12 0.9124 0.6964 0.5679  1 O 0.99
H13 0.6519 0.8342 0.9389  1 O 0.99
H14 0.6597 0.3203 0.9852  1 O 0.99
H15 0.3231 0.5592 0.3603  1 O 0.97
H16 0.3036 0.0876 0.9321  1 O 0.99
C1 0.9483 0.4929 0.9431  2 O 1.27
C2 0.5071 0.0517 0.5569  2 O 1.27
C3 0.4929 0.9483 0.4431  2 O 1.27
C4 0.0517 0.5071 0.0569  2 O 1.27
Ho1 0.9311 0.0689 0.2500  2 F 2.19, 6 O 2.37-2.44
Ho2 0.0689 0.9311 0.7500  2 F 2.19, 6 O 2.37-2.44

Computed properties:
- Energy of formation from the pure elements: -3397 kJ/mol of formula units
- Space group: C2/c, No. 15
- Total magnetic moment: 0.00 μB/cell
- Mass density: 2.60 g cm⁻³


[2]
Computed, not measured: a geometry-optimized Sc2Mn3Si structure at the PBE level of DFT.

a = 4.9197 Å, b = 4.9197 Å, c = 8.0978 Å
α = 90.00°, β = 90.00°, γ = 120.00°
Last column: nearest neighbours and their distance in Å.
Atoms (fractional coordinates):
Mn1 0.3492 0.1746 0.7500  4 Mn 2.34-2.58, 2 Si 2.51
Mn2 0.6508 0.8254 0.2500  4 Mn 2.34-2.58, 2 Si 2.51
Mn3 0.8254 0.6508 0.7500  4 Mn 2.34-2.58, 2 Si 2.51
Mn4 0.1746 0.8254 0.2500  4 Mn 2.34-2.58, 2 Si 2.51
Mn5 0.1746 0.3492 0.2500  4 Mn 2.34-2.58, 2 Si 2.51
Mn6 0.8254 0.1746 0.7500  4 Mn 2.34-2.58, 2 Si 2.51
Sc1 0.3333 0.6667 0.9338  9 Mn 2.88-2.90, 3 Si 2.89, 4 Sc 2.98-3.04
Sc2 0.6667 0.3333 0.4338  9 Mn 2.88-2.90, 3 Si 2.89, 4 Sc 2.98-3.04
Sc3 0.6667 0.3333 0.0662  9 Mn 2.88-2.90, 3 Si 2.89, 4 Sc 2.98-3.04
Sc4 0.3333 0.6667 0.5662  9 Mn 2.88-2.90, 3 Si 2.89, 4 Sc 2.98-3.04
Si1 0.0000 0.0000 0.0000  6 Mn 2.51
Si2 0.0000 0.0000 0.5000  6 Mn 2.51

Computed properties:
- Energy of formation from the pure elements: -217 kJ/mol of formula units
- Space group: P6_3/mmc, No. 194
- Mass density: 5.53 g cm⁻³


[3]
Computed, not measured: a geometry-optimized NaZn4H6SClO16 structure at the PBE level of DFT.

a = 8.4255 Å, b = 8.4869 Å, c = 12.3852 Å
α = 90.95°, β = 90.55°, γ = 119.21°
Last column: nearest neighbours and their distance in Å.
Atoms (fractional coordinates):
O1 0.8993 0.5223 0.0785  1 H 0.97
O2 0.8389 0.4984 0.7312  1 S 1.49
O3 0.1611 0.5016 0.2688  1 S 1.49
O4 0.6286 0.1945 0.3184  1 O 1.24
O5 0.1888 0.9406 0.1028  1 H 0.99
O6 0.4926 0.6527 0.2711  1 S 1.49
O7 0.5216 0.6240 0.9241  1 H 0.97
O8 0.7219 0.0232 0.4797  1 O 1.23
O9 0.8112 0.0594 0.8972  1 H 0.99
O10 0.5074 0.3473 0.7289  1 S 1.49
O11 0.6606 0.8610 0.4969  1 O 1.23
O12 0.6649 0.1715 0.7243  1 S 1.50
O13 0.6709 0.3358 0.8916  1 S 1.52
O14 0.1497 0.3908 0.6559  1 O 1.24
O15 0.9376 0.7508 0.9051  1 H 0.99
O16 0.3714 0.8055 0.6816  1 O 1.24
O17 0.4801 0.7493 0.6980  1 O 1.24
O18 0.6289 0.1029 0.0747  1 H 0.97
O19 0.7516 0.8137 0.1018  1 H 0.99
O20 0.4784 0.3760 0.0759  1 H 0.97
O21 0.1268 0.3906 0.5572  1 O 1.24
O22 0.3711 0.8971 0.9253  1 H 0.97
O23 0.1007 0.4777 0.9215  1 H 0.97
O24 0.3351 0.8285 0.2757  1 S 1.50
O25 0.2781 0.9768 0.5203  1 O 1.23
O26 0.3291 0.6642 0.1084  1 S 1.52
O27 0.2484 0.1863 0.8982  1 H 0.99
O28 0.3394 0.1390 0.5031  1 O 1.23
O29 0.0624 0.2492 0.0949  1 H 0.99
O30 0.5199 0.2507 0.3020  1 O 1.24
O31 0.8732 0.6094 0.4428  1 O 1.24
O32 0.8503 0.6092 0.3441  1 O 1.24
Zn1 0.1285 0.7150 0.9959  5 O 2.08-2.15
Zn2 0.2833 0.4129 0.9906  5 O 2.05-2.16
Zn3 0.4080 0.1260 0.0111  5 O 2.05-2.16
Zn4 0.7167 0.5871 0.0094  5 O 2.05-2.16
Zn5 0.8715 0.2850 0.0041  5 O 2.08-2.15
Zn6 0.5920 0.8740 0.9889  5 O 2.05-2.16
Zn7 0.9996 0.9949 0.8474  3 O 2.01-2.02, 1 Cl 2.23
Zn8 0.0004 0.0051 0.1526  3 O 2.01-2.02, 1 Cl 2.23
S1 0.3294 0.6608 0.2308  4 O 1.49-1.52
S2 0.6706 0.3392 0.7692  4 O 1.49-1.52
H1 0.0852 0.4724 0.8433  1 O 0.97
H2 0.2365 0.9144 0.1696  1 O 0.99
H3 0.7635 0.0856 0.8304  1 O 0.99
H4 0.5284 0.6149 0.8460  1 O 0.97
H5 0.3230 0.2326 0.8329  1 O 0.99
H6 0.0886 0.3228 0.1626  1 O 0.99
H7 0.9148 0.5276 0.1567  1 O 0.97
H8 0.6770 0.7674 0.1671  1 O 0.99
H9 0.4716 0.3851 0.1540  1 O 0.97
H10 0.9114 0.6772 0.8374  1 O 0.99
H11 0.6339 0.0929 0.1527  1 O 0.97
H12 0.3661 0.9071 0.8473  1 O 0.97
Cl1 0.0202 0.0461 0.3318  1 Zn 2.23
Cl2 0.9798 0.9539 0.6682  1 Zn 2.23
Na1 0.3298 0.6867 0.4466  5 O 2.44-2.67, 1 S 2.68
Na2 0.6702 0.3133 0.5534  5 O 2.44-2.67, 1 S 2.68

Computed properties:
- Energy of formation from the pure elements: -3854 kJ/mol of formula units
- Space group: P-1, No. 2
- Total magnetic moment: 12.00 μB/cell
- Energy relative to the lowest polymorph listed for this composition: 0.00 eV per formula unit
- Mass density: 2.64 g cm⁻³


[4]
Computed, not measured: a geometry-optimized SiO2 structure at the PBE level of DFT.

a = 11.3242 Å, b = 11.3242 Å, c = 5.1840 Å
α = 90.00°, β = 90.00°, γ = 102.75°
Last column: nearest neighbours and their distance in Å.
Atoms (fractional coordinates):
O1 0.6471 0.8922 0.3312  2 Si 1.62
O2 0.5177 0.9917 0.0051  2 Si 1.62
O3 0.1291 0.6870 0.7928  2 Si 1.62
O4 0.5243 0.6615 0.2925  2 Si 1.62-1.63
O5 0.3529 0.1078 0.8312  2 Si 1.62
O6 0.2850 0.2549 0.4952  2 Si 1.62
O7 0.6889 0.3111 0.6160  2 Si 1.63
O8 0.6573 0.3427 0.1166  2 Si 1.63
O9 0.7150 0.7451 0.9952  2 Si 1.62
O10 0.4757 0.3385 0.7925  2 Si 1.62-1.63
O11 0.7451 0.7150 0.4952  2 Si 1.62
O12 0.6615 0.5243 0.7925  2 Si 1.62-1.63
O13 0.8709 0.3130 0.2928  2 Si 1.62
O14 0.3130 0.8709 0.7928  2 Si 1.62
O15 0.2549 0.2850 0.9952  2 Si 1.62
O16 0.0083 0.4823 0.0051  2 Si 1.62
O17 0.3385 0.4757 0.2925  2 Si 1.62-1.63
O18 0.4823 0.0083 0.5051  2 Si 1.62
O19 0.3111 0.6889 0.1160  2 Si 1.63
O20 0.1078 0.3529 0.3312  2 Si 1.62
O21 0.3427 0.6573 0.6166  2 Si 1.63
O22 0.9917 0.5177 0.5051  2 Si 1.62
O23 0.8922 0.6471 0.8312  2 Si 1.62
O24 0.6870 0.1291 0.2928  2 Si 1.62
Si1 0.3433 0.2466 0.7790  4 O 1.62-1.63
Si2 0.2466 0.3433 0.2790  4 O 1.62-1.63
Si3 0.7534 0.6567 0.7790  4 O 1.62-1.63
Si4 0.6567 0.7534 0.2790  4 O 1.62-1.63
Si5 0.5832 0.0052 0.2849  4 O 1.62
Si6 0.0052 0.5832 0.7849  4 O 1.62
Si7 0.7253 0.2747 0.3280  4 O 1.62-1.63
Si8 0.9948 0.4168 0.2849  4 O 1.62
Si9 0.2747 0.7253 0.8280  4 O 1.62-1.63
Si10 0.3788 0.6212 0.3280  4 O 1.62-1.63
Si11 0.4168 0.9948 0.7849  4 O 1.62
Si12 0.6212 0.3788 0.8280  4 O 1.62-1.63

Computed properties:
- Energy of formation from the pure elements: -943 kJ/mol of formula units
- Space group: Cmc2_1, No. 36
- Largest piezoelectric modulus: 0.09 C/m2
- Mass density: 1.85 g cm⁻³


[5]
Computed, not measured: a geometry-optimized CsTh2Te6 structure at the PBE level of DFT.

a = 12.7783 Å, b = 12.7783 Å, c = 6.2753 Å
α = 90.00°, β = 90.00°, γ = 159.83°
Last column: nearest neighbours and their distance in Å.
Atoms (fractional coordinates):
Te1 0.1128 0.8872 0.2456  2 Te 3.08-3.19, 2 Th 3.23
Te2 0.8870 0.1130 0.2574  2 Te 3.04-3.23, 2 Th 3.22
Te3 0.8870 0.1130 0.7426  2 Te 3.04-3.23, 2 Th 3.22
Te4 0.7271 0.2729 0.5000  4 Th 3.20-3.34
Te5 0.1128 0.8872 0.7544  2 Te 3.08-3.19, 2 Th 3.23
Te6 0.2733 0.7267 0.0000  4 Th 3.20-3.33
Th1 0.6822 0.3178 0.0000  8 Te 3.20-3.34
Th2 0.3180 0.6820 0.5000  8 Te 3.20-3.33
Cs1 0.4967 0.5033 0.0000  8 Te 3.90-3.99

Computed properties:
- Energy of formation from the pure elements: -1207 kJ/mol of formula units
- Space group: Amm2, No. 38
- Mass density: 6.40 g cm⁻³